Record 1
Compound: Be46Rh7
Source: the Materials Project
Functional: PBE
Structure: relaxed

The structure in POSCAR format:
```
Be46Rh7
1.0
-3.805 0.953 1.434
0.654 -3.650 -1.921
7.436 -13.918 28.980
Be Rh
46 7
direct
0.000 0.000 0.125 Be
0.000 0.000 0.459 Be
0.000 0.000 0.792 Be
0.000 0.000 0.208 Be
0.000 0.000 0.541 Be
0.000 0.000 0.875 Be
0.667 0.333 0.114 Be
0.667 0.333 0.447 Be
0.667 0.333 0.781 Be
0.667 0.333 0.219 Be
0.667 0.333 0.553 Be
0.667 0.333 0.886 Be
0.835 0.165 0.061 Be
0.834 0.166 0.394 Be
0.836 0.164 0.729 Be
0.330 0.165 0.061 Be
0.333 0.166 0.394 Be
0.328 0.164 0.729 Be
0.835 0.670 0.061 Be
0.834 0.667 0.394 Be
0.836 0.672 0.729 Be
0.834 0.166 0.273 Be
0.835 0.165 0.604 Be
0.835 0.165 0.939 Be
0.332 0.166 0.273 Be
0.330 0.165 0.604 Be
0.330 0.165 0.939 Be
0.834 0.668 0.273 Be
0.835 0.670 0.604 Be
0.835 0.670 0.939 Be
0.333 0.667 0.033 Be
0.333 0.667 0.365 Be
0.333 0.667 0.699 Be
0.333 0.667 0.301 Be
0.333 0.667 0.634 Be
0.333 0.667 0.967 Be
0.497 0.503 0.167 Be
0.497 0.503 0.500 Be
0.497 0.503 0.833 Be
0.006 0.503 0.167 Be
0.006 0.503 0.500 Be
0.006 0.503 0.833 Be
0.497 0.994 0.167 Be
0.497 0.994 0.500 Be
0.497 0.994 0.833 Be
0.667 0.333 0.333 Be
0.333 0.667 0.103 Rh
0.333 0.667 0.436 Rh
0.333 0.667 0.770 Rh
0.333 0.667 0.230 Rh
0.333 0.667 0.563 Rh
0.333 0.667 0.897 Rh
0.000 0.000 0.667 Rh
```

Properties
* crystal system: trigonal
* energy: -232.587 eV/cell
* size of the total moment: 0.1 Bohr magnetons per cell
* DFT formation energy: -0.170 eV/atom

Record 2
Compound: BeRh
Source: the Materials Project
Functional: PBE
Structure: relaxed

The structure in POSCAR format:
```
BeRh
1.0
-0.338 -2.288 1.554
0.385 -1.589 -2.256
2.739 -0.059 0.509
Be Rh
1 1
direct
0.000 0.000 0.000 Be
0.500 0.500 0.500 Rh
```

Properties
* crystal system: cubic
* energy: -12.319 eV/cell
* DFT formation energy: -0.608 eV/atom

Record 3
Compound: BeSiRh2
Source: the Materials Project
Functional: PBE
Structure: relaxed

The structure in POSCAR format:
```
BeSiRh2
1.0
0.000 2.873 2.873
2.873 0.000 2.873
2.873 2.873 0.000
Be Si Rh
1 1 2
direct
0.500 0.500 0.500 Be
0.000 0.000 0.000 Si
0.250 0.250 0.250 Rh
0.750 0.750 0.750 Rh
```

Properties
* crystal system: cubic
* energy: -27.142 eV/cell
* DFT formation energy: -0.812 eV/atom

Question: What is the DFT formation energy in the third record?
Answer: -0.812 eV/atom

Question: Look up the energy of the second one.
Answer: -12.319 eV/cell